(1)
Na42Ta8Zn16Si21S15O144 (GGA-PBE, relaxed); theoretical density = 3.5 g cm⁻³; M_tot = 0.000 μB per cell; energy of formation from the pure elements = -2.426 eV per atom
1.0
9.1068 0.0000 0.0000
0.0249 15.8721 0.0000
0.0199 0.0249 22.3433
Na Ta Zn Si S O
42 8 16 21 15 144
Direct
0.0000 0.0000 0.0000
0.0004 0.6630 0.3454
0.0314 0.3208 0.9988
0.0430 0.9727 0.3510
0.0506 0.0058 0.6770
0.0535 0.3573 0.3433
0.0546 0.6715 0.0087
0.1574 0.1739 0.5124
0.1637 0.5065 0.1725
0.1651 0.8563 0.8468
0.1737 0.4745 0.8561
0.1849 0.8180 0.4988
0.2151 0.1635 0.8490
0.2160 0.5021 0.4985
0.3468 0.3393 0.9220
0.3470 0.3413 0.4202
0.3575 0.6601 0.5894
0.3605 0.9978 0.7592
0.3615 0.9921 0.2546
0.3707 0.6681 0.0875
0.4834 0.1618 0.3362
0.4922 0.5103 0.0079
0.5035 0.8417 0.6797
0.5173 0.8136 0.0121
0.5320 0.4769 0.3453
0.5452 0.8568 0.3353
0.5494 0.1708 0.0157
0.5669 0.5101 0.6754
0.6538 0.0086 0.1718
0.6685 0.6709 0.5142
0.6774 0.3603 0.8396
0.6869 0.9771 0.8489
0.7016 0.3242 0.5112
0.7191 0.3429 0.1769
0.7352 0.0045 0.5035
0.7379 0.6587 0.8466
0.8546 0.4929 0.7592
0.8574 0.4982 0.2549
0.8589 0.1695 0.5925
0.8608 0.1600 0.0872
0.8702 0.8363 0.4200
0.8705 0.8365 0.9221
0.3524 0.3351 0.0837
0.3561 0.6656 0.2401
0.3667 0.3341 0.5752
0.3695 0.6632 0.7396
0.8465 0.8286 0.0712
0.8492 0.1619 0.2386
0.8609 0.1662 0.7418
0.8671 0.8342 0.5835
0.3469 0.9887 0.9213
0.3495 0.6564 0.4352
0.3507 0.9856 0.4049
0.3546 0.3399 0.2671
0.3548 0.9943 0.6144
0.3603 0.3385 0.7836
0.3606 0.6575 0.9538
0.3826 0.9868 0.1120
0.8371 0.4870 0.6127
0.8545 0.5011 0.1098
0.8591 0.8391 0.2818
0.8608 0.8400 0.7684
0.8646 0.4987 0.9121
0.8695 0.1569 0.9370
0.8728 0.1581 0.4492
0.8737 0.4883 0.4181
0.0061 0.3486 0.5119
0.0081 0.3116 0.8478
0.0108 0.0126 0.8448
0.0575 0.3307 0.1833
0.0696 0.9956 0.5139
0.1507 0.4935 0.0145
0.1602 0.8292 0.6832
0.2072 0.5132 0.3451
0.2094 0.8093 0.3471
0.2117 0.8505 0.0124
0.4915 0.1822 0.1826
0.5063 0.5171 0.8490
0.5156 0.4825 0.1834
0.5638 0.5030 0.5092
0.5677 0.8295 0.1844
0.6525 0.3283 0.6841
0.6545 0.0036 0.0092
0.7031 0.9837 0.6814
0.7095 0.0188 0.3510
0.7153 0.6405 0.0086
0.7259 0.6823 0.6826
0.0016 0.6476 0.5141
0.0067 0.6878 0.1814
0.0075 0.9785 0.1798
0.0734 0.6656 0.8445
0.1488 0.1654 0.3452
0.2121 0.1869 0.6809
0.2124 0.4785 0.6793
0.2169 0.1477 0.0142
0.5010 0.1467 0.5125
0.5048 0.8087 0.8450
0.5158 0.8488 0.5126
0.5685 0.1629 0.8453
0.6494 0.6627 0.3456
0.7033 0.3469 0.0128
0.7146 0.3072 0.3461
0.0128 0.4042 0.4501
0.0253 0.5127 0.3452
0.0299 0.8413 0.0282
0.0306 0.8162 0.3394
0.0426 0.1592 0.2930
0.0439 0.1796 0.6814
0.0459 0.8162 0.6233
0.0559 0.1632 0.0116
0.0557 0.5035 0.0752
0.0577 0.4691 0.9541
0.0587 0.4941 0.6684
0.0630 0.8484 0.7407
0.0652 0.1773 0.4013
0.1520 0.3470 0.2420
0.1591 0.6758 0.8994
0.1612 0.9958 0.1709
0.1625 0.6629 0.5116
0.1646 0.9755 0.4530
0.1683 0.0105 0.5734
0.1738 0.3156 0.1244
0.1760 0.6808 0.1825
0.1806 0.6628 0.7907
0.1868 0.3154 0.8388
0.1891 0.3337 0.5264
0.1919 0.0127 0.8439
0.2051 0.9064 0.9501
0.2340 0.0859 0.3444
0.2390 0.4311 0.7339
0.2397 0.7563 0.4086
0.2445 0.2388 0.6256
0.2467 0.2387 0.3401
0.2480 0.0939 0.0652
0.2542 0.5793 0.2880
0.2589 0.5750 0.0121
0.2608 0.7408 0.6846
0.2642 0.4056 0.0203
0.2657 0.2275 0.7347
0.2690 0.9083 0.6734
0.2705 0.1012 0.6754
0.2738 0.7550 0.0053
0.2767 0.1141 0.9567
0.2797 0.5511 0.4056
0.2844 0.4202 0.3397
0.2860 0.4334 0.6258
0.2862 0.7534 0.2910
0.2891 0.9015 0.3426
0.2920 0.2344 0.0194
0.2955 0.8969 0.0657
0.2972 0.5624 0.6806
0.4181 0.5715 0.1853
0.4239 0.2348 0.5210
0.4269 0.4290 0.1259
0.4287 0.5624 0.9047
0.4324 0.4236 0.8446
0.4338 0.8921 0.8407
0.4357 0.1152 0.4570
0.4367 0.0875 0.1753
0.4442 0.2297 0.2427
0.4444 0.7617 0.7881
0.4490 0.5830 0.5046
0.4521 0.7633 0.5080
0.4548 0.4130 0.5209
0.4551 0.8883 0.5667
0.4572 0.5781 0.7870
0.4638 0.7606 0.8978
0.4659 0.9117 0.1781
0.4677 0.7410 0.1879
0.4713 0.2364 0.8383
0.4734 0.0939 0.5645
0.4735 0.2472 0.1225
0.4831 0.0841 0.8450
0.4945 0.9006 0.4583
0.4950 0.4256 0.2425
0.5290 0.0160 0.3501
0.5323 0.9935 0.6659
0.5335 0.6765 0.6851
0.5358 0.3378 0.0187
0.5384 0.3179 0.6221
0.5425 0.6659 0.0059
0.5453 0.3400 0.7402
0.5453 0.6538 0.2931
0.5539 0.3137 0.3428
0.5568 0.9793 0.9498
0.5636 0.0231 0.0695
0.5639 0.6769 0.4012
0.6540 0.5201 0.5698
0.6547 0.1764 0.9002
0.6595 0.1652 0.5087
0.6625 0.4761 0.4506
0.6655 0.8145 0.8415
0.6700 0.8412 0.2424
0.6735 0.1540 0.7920
0.6800 0.8196 0.1236
0.6831 0.8398 0.5177
0.6849 0.1759 0.1863
0.6849 0.5138 0.8454
0.6876 0.4902 0.1717
0.7170 0.9255 0.7401
0.7243 0.3981 0.9584
0.7353 0.5793 0.0644
0.7358 0.5840 0.3463
0.7473 0.7362 0.3392
0.7468 0.7480 0.6221
0.7522 0.2400 0.6858
0.7519 0.4110 0.6771
0.7527 0.2590 0.3998
0.7576 0.0803 0.2901
0.7608 0.9142 0.0205
0.7649 0.3844 0.0672
0.7660 0.2607 0.0074
0.7697 0.0833 0.0044
0.7735 0.7304 0.7420
0.7759 0.2605 0.2903
0.7819 0.0637 0.4087
0.7825 0.5880 0.6742
0.7841 0.9257 0.3456
0.7853 0.3906 0.3429
0.7921 0.9293 0.6242
0.7961 0.7383 0.0214
0.8013 0.0718 0.6836
0.8011 0.6112 0.9477
0.9241 0.0652 0.1842
0.9272 0.3955 0.5664
0.9266 0.7349 0.5192
0.9289 0.4035 0.8453
0.9309 0.2546 0.7904
0.9323 0.9197 0.8396
0.9324 0.9386 0.1274
0.9346 0.2539 0.5058
0.9375 0.0520 0.9046
0.9414 0.6140 0.4570
0.9490 0.4089 0.1727
0.9519 0.6015 0.1771
0.9534 0.7282 0.2358
0.9563 0.0761 0.5128
0.9575 0.2413 0.1872
0.9603 0.9066 0.5200
0.9629 0.0781 0.7865
0.9701 0.5942 0.5653
0.9752 0.7390 0.1266
0.9746 0.7388 0.8393
0.9799 0.2549 0.9077
0.9806 0.9327 0.2357
0.9923 0.5854 0.8406

=====

(2)
EuSb12Os4 (GGA-PBE, relaxed); theoretical density = 8.7 g cm⁻³; M_tot = 5.577 μB per cell; energy of formation from the pure elements = -0.114 eV per atom
1.0
-4.8295 4.8295 4.8295
4.8295 -4.8295 4.8295
4.8295 4.8295 -4.8295
Eu Sb Os
1 12 4
Direct
0.0000 0.0000 0.0000
0.1569 0.4965 0.3396
0.1569 0.8172 0.6604
0.1828 0.3396 0.8431
0.3396 0.1569 0.4965
0.3396 0.8431 0.1828
0.4965 0.3396 0.1569
0.5035 0.6604 0.8431
0.6604 0.1569 0.8172
0.6604 0.8431 0.5035
0.8172 0.6604 0.1569
0.8431 0.1828 0.3396
0.8431 0.5035 0.6604
0.0000 0.0000 0.5000
0.0000 0.5000 0.0000
0.5000 0.0000 0.0000
0.5000 0.5000 0.5000

=====

M_tot of number 1 (Na42Ta8Zn16Si21S15O144)?
0.000 μB per cell

=====

Which formula does entry 1 have?
Na42Ta8Zn16Si21S15O144